[1]
This record from Materials Project describes crystalline LaMg14Cd at its relaxed geometry. The functional is PBE.

The structure in POSCAR format:
```
LaMg14Cd
1.0
10.367 0.000 0.000
0.000 3.278 5.700
0.000 -3.278 5.700
La Mg Cd
1 14 1
direct
0.000 0.000 0.000 La
0.000 0.011 0.493 Mg
0.000 0.493 0.011 Mg
0.244 0.665 0.665 Mg
0.257 0.169 0.659 Mg
0.257 0.659 0.169 Mg
0.259 0.168 0.168 Mg
0.500 0.499 0.499 Mg
0.500 0.499 0.998 Mg
0.500 0.998 0.499 Mg
0.500 0.999 0.999 Mg
0.741 0.168 0.168 Mg
0.743 0.169 0.659 Mg
0.743 0.659 0.169 Mg
0.756 0.665 0.665 Mg
0.000 0.491 0.491 Cd
```

Values from the calculation:
magnetization = 0.000 μB per formula unit

***

[2]
This record from Materials Project describes crystalline LaMg14Cd at its relaxed geometry. The functional is PBE.

The structure in POSCAR format:
```
LaMg14Cd
1.0
6.579 0.000 0.000
-3.290 5.698 0.000
0.000 0.000 10.339
La Mg Cd
1 14 1
direct
0.000 0.000 0.000 La
0.010 0.505 0.000 Mg
0.169 0.337 0.257 Mg
0.169 0.337 0.743 Mg
0.169 0.831 0.257 Mg
0.169 0.831 0.743 Mg
0.495 0.505 0.000 Mg
0.495 0.990 0.000 Mg
0.501 0.002 0.500 Mg
0.501 0.499 0.500 Mg
0.663 0.831 0.257 Mg
0.663 0.831 0.743 Mg
0.667 0.333 0.246 Mg
0.667 0.333 0.754 Mg
0.998 0.499 0.500 Mg
0.000 0.000 0.500 Cd
```

Values from the calculation:
magnetization = 0.000 μB per formula unit

***

[3]
This record from Materials Project describes crystalline La23Cd4Ni7 at its relaxed geometry. The functional is PBE.

The structure in POSCAR format:
```
La23Cd4Ni7
1.0
10.096 0.000 0.000
-5.048 8.743 0.000
0.000 0.000 22.912
La Cd Ni
46 8 14
direct
0.000 0.000 0.052 La
0.000 0.000 0.552 La
0.079 0.540 0.138 La
0.084 0.542 0.408 La
0.128 0.256 0.686 La
0.128 0.872 0.686 La
0.204 0.408 0.835 La
0.204 0.796 0.835 La
0.206 0.412 0.272 La
0.206 0.413 0.000 La
0.206 0.794 0.000 La
0.206 0.794 0.272 La
0.211 0.423 0.544 La
0.211 0.789 0.544 La
0.256 0.128 0.186 La
0.333 0.667 0.698 La
0.408 0.204 0.335 La
0.412 0.206 0.772 La
0.413 0.206 0.500 La
0.423 0.211 0.044 La
0.458 0.542 0.408 La
0.458 0.916 0.408 La
0.460 0.540 0.138 La
0.460 0.921 0.138 La
0.540 0.079 0.638 La
0.540 0.460 0.638 La
0.542 0.084 0.908 La
0.542 0.458 0.908 La
0.577 0.789 0.544 La
0.587 0.794 0.000 La
0.588 0.794 0.272 La
0.592 0.796 0.835 La
0.667 0.333 0.198 La
0.744 0.872 0.686 La
0.789 0.211 0.044 La
0.789 0.577 0.044 La
0.794 0.206 0.500 La
0.794 0.206 0.772 La
0.794 0.587 0.500 La
0.794 0.588 0.772 La
0.796 0.204 0.335 La
0.796 0.592 0.335 La
0.872 0.128 0.186 La
0.872 0.744 0.186 La
0.916 0.458 0.908 La
0.921 0.460 0.638 La
0.000 0.000 0.302 Cd
0.000 0.000 0.802 Cd
0.106 0.212 0.415 Cd
0.106 0.894 0.415 Cd
0.212 0.106 0.915 Cd
0.788 0.894 0.415 Cd
0.894 0.106 0.915 Cd
0.894 0.788 0.915 Cd
0.041 0.520 0.763 Ni
0.143 0.286 0.116 Ni
0.143 0.857 0.116 Ni
0.286 0.143 0.616 Ni
0.333 0.667 0.917 Ni
0.480 0.520 0.763 Ni
0.480 0.959 0.763 Ni
0.520 0.041 0.263 Ni
0.520 0.480 0.263 Ni
0.667 0.333 0.417 Ni
0.714 0.857 0.116 Ni
0.857 0.143 0.616 Ni
0.857 0.714 0.616 Ni
0.959 0.480 0.263 Ni
```

Values from the calculation:
magnetization = 0.278 μB per formula unit

***

[4]
This record from Materials Project describes crystalline La2CdNi2 at its relaxed geometry. The functional is PBE.

The structure in POSCAR format:
```
La2CdNi2
1.0
2.023 -7.432 0.000
2.023 7.432 0.000
0.000 0.000 3.868
La Cd Ni
2 1 2
direct
0.138 0.862 0.000 La
0.862 0.138 0.000 La
0.500 0.500 0.500 Cd
0.297 0.703 0.500 Ni
0.703 0.297 0.500 Ni
```

***

[5]
This record from Materials Project describes crystalline LaCd20Ni2 at its relaxed geometry. The functional is PBE.

The structure in POSCAR format:
```
LaCd20Ni2
1.0
0.000 7.922 7.922
7.922 0.000 7.922
7.922 7.922 0.000
La Cd Ni
2 40 4
direct
0.125 0.125 0.125 La
0.875 0.875 0.875 La
0.000 0.000 0.000 Cd
0.000 0.000 0.500 Cd
0.000 0.500 0.000 Cd
0.056 0.324 0.324 Cd
0.056 0.324 0.795 Cd
0.056 0.795 0.324 Cd
0.205 0.676 0.676 Cd
0.205 0.676 0.944 Cd
0.205 0.944 0.676 Cd
0.238 0.238 0.512 Cd
0.238 0.512 0.238 Cd
0.238 0.512 0.512 Cd
0.324 0.056 0.324 Cd
0.324 0.056 0.795 Cd
0.324 0.324 0.056 Cd
0.324 0.324 0.795 Cd
0.324 0.795 0.056 Cd
0.324 0.795 0.324 Cd
0.488 0.488 0.762 Cd
0.488 0.762 0.488 Cd
0.488 0.762 0.762 Cd
0.500 0.000 0.000 Cd
0.512 0.238 0.238 Cd
0.512 0.238 0.512 Cd
0.512 0.512 0.238 Cd
0.676 0.205 0.676 Cd
0.676 0.205 0.944 Cd
0.676 0.676 0.205 Cd
0.676 0.676 0.944 Cd
0.676 0.944 0.205 Cd
0.676 0.944 0.676 Cd
0.762 0.488 0.488 Cd
0.762 0.488 0.762 Cd
0.762 0.762 0.488 Cd
0.795 0.056 0.324 Cd
0.795 0.324 0.056 Cd
0.795 0.324 0.324 Cd
0.944 0.205 0.676 Cd
0.944 0.676 0.205 Cd
0.944 0.676 0.676 Cd
0.000 0.500 0.500 Ni
0.500 0.000 0.500 Ni
0.500 0.500 0.000 Ni
0.500 0.500 0.500 Ni
```

Values from the calculation:
magnetization = 0.025 μB per formula unit

***

[6]
This record from Materials Project describes crystalline LaCdO3 at its relaxed geometry. The functional is PBE.

The structure in POSCAR format:
```
LaCdO3
1.0
4.180 0.000 0.000
0.000 4.180 0.000
0.000 0.000 4.180
La Cd O
1 1 3
direct
0.000 0.000 0.000 La
0.500 0.500 0.500 Cd
0.000 0.500 0.500 O
0.500 0.000 0.500 O
0.500 0.500 0.000 O
```

Values from the calculation:
magnetization = 0.001 μB per formula unit
total energy after the MP2020 corrections = -6.213 eV/atom

***

The calculation returns the following VASP energy values, one per record and in order: -1.772 -1.766 -4.883 -4.842 -1.618 -5.801 eV per atom.
The calculation returns the following ΔE_f values, one per record and in order: -0.006 0.000 -0.245 -0.371 -0.099 -2.072 eV/atom.